No. 1
Material: SrCr2BiO6
Method: DFT, PBE+U
State: optimized geometry

Properties
Formation energy = -2.293 eV per atom
Crystal system = trigonal
Space-group type = R3 (146)

a = 5.614 Å, b = 5.614 Å, c = 5.614 Å
α = 59.42°, β = 59.42°, γ = 59.42°
Positions (direct):
O: 0.689 0.274 0.806
O: 0.749 0.166 0.330
O: 0.166 0.330 0.749
O: 0.806 0.689 0.274
O: 0.274 0.806 0.689
Sr: 0.239 0.239 0.239
Cr: 0.493 0.493 0.493
Cr: 0.995 0.995 0.995
Bi: 0.713 0.713 0.713
O: 0.330 0.749 0.166

No. 2
Material: CrBiWO6
Method: DFT, PBE+U
State: optimized geometry

Properties
Formation energy = -1.841 eV per atom
Crystal system = orthorhombic
Space-group type = Imma (74)

a = 7.209 Å, b = 7.209 Å, c = 7.209 Å
α = 120.51°, β = 119.25°, γ = 90.21°
Positions (direct):
O: 0.314 0.577 0.133
O: 0.944 0.181 0.367
O: 0.313 0.563 0.750
W: 0.500 0.500 0.000
O: 0.075 0.825 0.250
O: 0.314 0.181 0.737
O: 0.686 0.819 0.263
O: 0.687 0.437 0.250
O: 0.944 0.577 0.763
Cr: 0.000 0.500 0.000
O: 0.056 0.423 0.237
W: 0.000 0.500 0.500
O: 0.056 0.819 0.633
Cr: 0.000 0.000 0.500
O: 0.925 0.175 0.750
Bi: 0.500 0.000 0.500
O: 0.686 0.423 0.867
Bi: 0.000 0.000 0.000

No. 3
Material: ZnCrBiO5
Method: DFT, PBE+U
State: optimized geometry

Properties
Formation energy = -1.665 eV per atom
Crystal system = orthorhombic
Space-group type = Pbca (61)

a = 5.314 Å, b = 10.723 Å, c = 15.266 Å
α = 90.00°, β = 90.00°, γ = 90.00°
Positions (direct):
O: 0.857 0.700 0.474
Cr: 0.527 0.897 0.410
O: 0.575 0.833 0.304
O: 0.688 0.458 0.557
O: 0.575 0.333 0.196
Zn: 0.000 0.359 0.951
Bi: 0.024 0.646 0.728
O: 0.688 0.958 0.943
O: 0.285 0.279 0.355
O: 0.643 0.700 0.974
O: 0.285 0.779 0.145
Zn: 0.000 0.141 0.451
O: 0.188 0.042 0.557
O: 0.828 0.476 0.383
Zn: 0.000 0.641 0.049
O: 0.857 0.200 0.026
O: 0.715 0.221 0.855
Bi: 0.976 0.354 0.272
O: 0.643 0.200 0.526
O: 0.075 0.667 0.304
O: 0.812 0.458 0.057
O: 0.925 0.833 0.804
O: 0.312 0.042 0.057
O: 0.925 0.333 0.696
O: 0.672 0.976 0.617
Bi: 0.476 0.646 0.228
Zn: 0.500 0.859 0.049
O: 0.188 0.542 0.943
O: 0.075 0.167 0.196
Cr: 0.527 0.397 0.090
Bi: 0.976 0.854 0.228
O: 0.172 0.024 0.883
Bi: 0.476 0.146 0.272
O: 0.328 0.024 0.383
O: 0.785 0.721 0.145
O: 0.172 0.524 0.617
O: 0.828 0.976 0.117
O: 0.312 0.542 0.443
O: 0.215 0.279 0.855
Zn: 0.500 0.641 0.549
O: 0.328 0.524 0.117
O: 0.357 0.800 0.474
O: 0.715 0.721 0.645
Bi: 0.024 0.146 0.772
Bi: 0.524 0.854 0.728
Zn: 0.500 0.359 0.451
O: 0.672 0.476 0.883
O: 0.357 0.300 0.026
Cr: 0.973 0.897 0.910
Cr: 0.973 0.397 0.590
O: 0.215 0.779 0.645
Bi: 0.524 0.354 0.772
Zn: 0.000 0.859 0.549
Cr: 0.027 0.103 0.090
Cr: 0.027 0.603 0.410
Cr: 0.473 0.603 0.910
O: 0.143 0.800 0.974
O: 0.785 0.221 0.355
O: 0.812 0.958 0.443
O: 0.425 0.667 0.804
Cr: 0.473 0.103 0.590
O: 0.143 0.300 0.526
Zn: 0.500 0.141 0.951
O: 0.425 0.167 0.696

No. 4
Material: ZnCrBiO5
Method: DFT, PBE+U
State: optimized geometry

Properties
Formation energy = -1.731 eV per atom
Crystal system = monoclinic
Space-group type = P2_1/c (14)

a = 5.387 Å, b = 7.753 Å, c = 11.704 Å
α = 90.00°, β = 90.00°, γ = 106.35°
Positions (direct):
O: 0.255 0.011 0.976
O: 0.529 0.830 0.573
Bi: 0.111 0.170 0.104
O: 0.971 0.670 0.073
O: 0.996 0.151 0.321
O: 0.792 0.490 0.287
O: 0.208 0.510 0.713
O: 0.245 0.489 0.476
Zn: 0.383 0.829 0.082
Cr: 0.284 0.469 0.856
Bi: 0.889 0.830 0.896
O: 0.936 0.167 0.577
Cr: 0.784 0.969 0.644
O: 0.064 0.833 0.423
O: 0.292 0.990 0.213
O: 0.504 0.349 0.821
O: 0.471 0.170 0.427
Zn: 0.883 0.329 0.418
O: 0.029 0.330 0.927
O: 0.755 0.511 0.524
O: 0.745 0.989 0.024
Cr: 0.716 0.531 0.144
Bi: 0.389 0.330 0.604
O: 0.436 0.667 0.923
Zn: 0.617 0.171 0.918
Bi: 0.611 0.670 0.396
O: 0.004 0.849 0.679
O: 0.708 0.010 0.787
Cr: 0.216 0.031 0.356
O: 0.496 0.651 0.179
Zn: 0.117 0.671 0.582
O: 0.564 0.333 0.077